No. 1
DFT (GGA+U) results for an optimized crystal structure of Li7Mn2Co3O12.

a = 4.9838 Å, b = 4.9838 Å, c = 9.8186 Å
α = 86.49°, β = 79.21°, γ = 62.10°
With the nearest neighbours (Å) after each atom.
Space group P1 (No. 1)
Asymmetric unit:
Li (0.0000, 0.0000, 0.0000)  5 O 2.02-2.14
Li (0.0797, 0.3308, 0.7516)  6 O 2.08-2.16
Li (0.1639, 0.6567, 0.5035)  5 O 2.02-2.17
Li (0.3250, 0.3367, 0.0002)  5 O 2.01-2.17
Li (0.4924, 0.9992, 0.5068)  6 O 2.09-2.19
Li (0.6670, 0.6573, 0.9956)  6 O 2.08-2.22
Li (0.8296, 0.3391, 0.5042)  5 O 2.02-2.19
Mn (0.2451, 0.9993, 0.2523)  5 O 1.96-2.19
Mn (0.7473, 0.9995, 0.7516)  6 O 1.94-1.96
Co (0.4126, 0.6649, 0.7517)  6 O 1.91-1.94
Co (0.5809, 0.3309, 0.2517)  4 O 1.91-1.95
Co (0.9130, 0.6635, 0.2512)  4 O 1.92-1.94
O (0.0353, 0.6974, 0.8612)  1 Co 1.92, 1 Mn 1.96, 3 Li 2.02-2.13
O (0.1313, 0.9608, 0.6414)  1 Co 1.94, 1 Mn 1.94, 3 Li 2.02-2.10
O (0.2274, 0.3147, 0.3704)  2 Co 1.95-2.18, 1 Mn 1.97, 3 Li 2.08-2.12
O (0.2622, 0.6805, 0.1369)  1 Co 1.92, 1 Mn 1.97, 2 Li 2.11-2.12
O (0.3967, 0.9737, 0.8644)  1 Co 1.91, 1 Mn 1.94, 2 Li 2.09-2.12
O (0.4825, 0.3236, 0.6420)  1 Co 1.92, 1 Mn 1.96, 3 Li 2.02-2.13
O (0.5689, 0.6367, 0.3652)  2 Co 1.91-1.92, 1 Li 2.09
O (0.6012, 0.0217, 0.1368)  1 Co 1.92, 1 Mn 1.97, 2 Li 2.14
O (0.6730, 0.3462, 0.8614)  1 Co 1.94, 1 Mn 1.94, 3 Li 2.01-2.08
O (0.7593, 0.6855, 0.6395)  1 Co 1.91, 1 Mn 1.94, 2 Li 2.09-2.10
O (0.8903, 0.9769, 0.3676)  2 Co 1.94-2.16, 1 Mn 1.96, 2 Li 2.14-2.15
O (0.9282, 0.3566, 0.1331)  2 Co 1.94-1.95, 3 Li 2.09-2.12

Output
Offset from the most stable computed form ... 0.149 eV/atom
Energy ... -5.780 eV/atom

***

No. 2
DFT (GGA+U) results for an optimized crystal structure of Li7Mn2Co3O12.

a = 2.9758 Å, b = 7.6133 Å, c = 10.1174 Å
α = 72.86°, β = 88.89°, γ = 80.29°
With the nearest neighbours (Å) after each atom.
Space group P1 (No. 1)
Asymmetric unit:
Li (0.0000, 0.0000, 0.0000)  6 O 2.07-2.23
Li (0.0075, 0.9957, 0.4849)  6 O 2.10-2.32
Li (0.3197, 0.3346, 0.4880)  6 O 2.03-2.26
Li (0.3472, 0.3195, 0.9961)  5 O 2.01-2.16
Li (0.4830, 0.0058, 0.2291)  6 O 2.05-2.27
Li (0.6519, 0.6684, 0.9858)  5 O 2.00-2.19
Li (0.6610, 0.6644, 0.4857)  6 O 2.06-2.18
Mn (0.8303, 0.3300, 0.7401)  4 O 1.95-1.97
Mn (0.8358, 0.3255, 0.2389)  6 O 1.84-2.03
Co (0.1585, 0.6669, 0.7380)  6 O 1.92-2.11
Co (0.1596, 0.6761, 0.2433)  2 O 1.74-1.87
Co (0.5015, 0.9967, 0.7380)  6 O 1.92-2.09
O (0.0737, 0.8286, 0.8538)  3 Co 1.92-2.09, 1 Li 2.08
O (0.0928, 0.8133, 0.3550)  1 Co 1.74
O (0.2027, 0.5028, 0.6220)  1 Co 1.94, 1 Mn 1.97, 2 Li 2.11
O (0.2629, 0.4877, 0.1369)  2 Mn 1.98-2.03, 1 Co 2.01, 2 Li 2.16-2.19
O (0.3952, 0.1877, 0.3483)  2 Mn 1.94-1.97, 3 Li 2.03-2.17
O (0.4578, 0.1570, 0.8572)  1 Co 1.94, 1 Mn 1.97, 2 Li 2.12-2.13
O (0.5570, 0.8086, 0.1255)  1 Co 1.87, 2 Li 2.00-2.05
O (0.5822, 0.8372, 0.6201)  3 Co 1.92-2.11, 2 Li 2.10-2.14
O (0.7268, 0.5020, 0.8528)  1 Mn 1.96, 2 Co 2.05-2.07, 2 Li 2.09-2.14
O (0.7765, 0.5042, 0.3500)  2 Co 1.95-2.16, 1 Mn 1.99, 2 Li 2.08-2.13
O (0.9032, 0.1811, 0.1200)  1 Mn 1.84, 3 Li 2.01-2.05
O (0.9292, 0.1645, 0.6231)  1 Mn 1.95, 2 Co 2.05-2.09, 2 Li 2.07-2.15

Output
Offset from the most stable computed form ... 0.075 eV/atom
Energy ... -5.854 eV/atom

***

No. 3
DFT (GGA+U) results for an optimized crystal structure of Li7Mn2Co3O12.

a = 15.5178 Å, b = 2.9338 Å, c = 10.3429 Å
α = 90.00°, β = 110.84°, γ = 90.00°
With the nearest neighbours (Å) after each atom.
Space group Cm (No. 8)
Asymmetric unit:
Li (0.0000, 0.0000, 0.0000)  3 O 2.01-2.08
Li (0.0014, 0.5000, 0.7718)  6 O 2.10-2.16
Li (0.1690, 0.5000, 0.6957)  6 O 2.04-2.26
Li (0.1730, 0.5000, 0.1739)  4 O 1.96-2.15
Li (0.3340, 0.0000, 0.8535)  5 O 2.04-2.28
Li (0.3357, 0.0000, 0.3590)  2 O 1.98-2.06
Li (0.4965, 0.5000, 0.5448)  3 O 2.01-2.03
Mn (0.0001, 0.5000, 0.2700)  6 O 1.87-2.01
Mn (0.1701, 0.0000, 0.4384)  6 O 1.86-2.01
Co (0.1531, 0.0000, 0.9211)  3 O 1.80-1.98
Co (0.3253, 0.5000, 0.0929)  3 O 1.83-1.99
Co (0.3473, 0.5000, 0.6231)  1 O 1.78
O (0.0778, 0.0000, 0.2441)  3 Mn 1.98-2.01
O (0.0896, 0.5000, 0.9798)  4 Li 1.96-2.10, 2 Co 1.98
O (0.0910, 0.0000, 0.7376)  1 Co 1.80, 1 Li 2.01
O (0.0916, 0.5000, 0.4642)  3 Mn 1.98-2.01
O (0.2368, 0.5000, 0.3954)  2 Mn 1.94, 1 Li 2.15
O (0.2474, 0.0000, 0.6227)  1 Mn 1.86
O (0.2534, 0.5000, 0.9089)  1 Co 1.83
O (0.2601, 0.0000, 0.1504)  2 Co 1.99, 3 Li 2.06-2.07
O (0.4089, 0.5000, 0.8046)  1 Co 1.78
O (0.4096, 0.0000, 0.5590)  4 Li 1.98-2.15, 2 Co 2.00
O (0.4209, 0.0000, 0.0847)  1 Mn 1.87
O (0.4312, 0.5000, 0.3097)  2 Mn 1.94

Output
Offset from the most stable computed form ... 0.091 eV/atom
Energy ... -5.838 eV/atom

***

> Which formula does entry 1 have?

Li7Mn2Co3O12

***

> Look up the energy of the second one.

-5.854 eV/atom